Entry i
{
  "formula": "Li2CrCo3O8",
  "functional": "GGA+U",
  "state": "optimized geometry",
  "magmom_total_mub_per_fu": 5.00,
  "cell": [[8.1943, 0.0000, 0.0000], [0.0576, 8.3210, 0.0000], [0.0207, 0.0034, 8.3216]],
  "species": ["Li", "Li", "Li", "Li", "Li", "Li", "Li", "Li", "Cr", "Cr", "Cr", "Cr", "Co", "Co", "Co", "Co", "Co", "Co", "Co", "Co", "Co", "Co", "Co", "Co", "O", "O", "O", "O", "O", "O", "O", "O", "O", "O", "O", "O", "O", "O", "O", "O", "O", "O", "O", "O", "O", "O", "O", "O", "O", "O", "O", "O", "O", "O", "O", "O"],
  "fractional_positions": [[0.0000, 0.0000, 0.0000], [0.9995, 0.4974, 0.4996], [0.2507, 0.2514, 0.2449], [0.2522, 0.7507, 0.7455], [0.5019, 0.0003, 0.5010], [0.5025, 0.4959, 0.0008], [0.7490, 0.2489, 0.7476], [0.7487, 0.7494, 0.2453], [0.1233, 0.3698, 0.8754], [0.3801, 0.6205, 0.3706], [0.6264, 0.1273, 0.1191], [0.8735, 0.8773, 0.6257], [0.1244, 0.6214, 0.1249], [0.1272, 0.1278, 0.6262], [0.1336, 0.8761, 0.3748], [0.3761, 0.8759, 0.1204], [0.3771, 0.1228, 0.8725], [0.3840, 0.3707, 0.6204], [0.6247, 0.6243, 0.6236], [0.6254, 0.8775, 0.8717], [0.6262, 0.3749, 0.3702], [0.8722, 0.6219, 0.8779], [0.8732, 0.3730, 0.1242], [0.8742, 0.1272, 0.3713], [0.1052, 0.3854, 0.1140], [0.1047, 0.6111, 0.8798], [0.1111, 0.1077, 0.3844], [0.1169, 0.8901, 0.6062], [0.1362, 0.8594, 0.1409], [0.1372, 0.3570, 0.6337], [0.1427, 0.6422, 0.3710], [0.1440, 0.1310, 0.8623], [0.3598, 0.1289, 0.6433], [0.3640, 0.6298, 0.1399], [0.3673, 0.3507, 0.8638], [0.3697, 0.8631, 0.3626], [0.3835, 0.1177, 0.0982], [0.3895, 0.6137, 0.6076], [0.3920, 0.3851, 0.3777], [0.3931, 0.8935, 0.8780], [0.6090, 0.1082, 0.8790], [0.6116, 0.6054, 0.3795], [0.6149, 0.8853, 0.1004], [0.6170, 0.3817, 0.6004], [0.6311, 0.8674, 0.6465], [0.6396, 0.6464, 0.8670], [0.6428, 0.1422, 0.3608], [0.6444, 0.3655, 0.1389], [0.8542, 0.8704, 0.8647], [0.8606, 0.6377, 0.6375], [0.8622, 0.3598, 0.3554], [0.8699, 0.1454, 0.1331], [0.8800, 0.3784, 0.8966], [0.8821, 0.8969, 0.3850], [0.8827, 0.6016, 0.1144], [0.8956, 0.1181, 0.6129]]
}

=====

Entry ii
{
  "formula": "Li2CrCo3O8",
  "functional": "GGA+U",
  "state": "optimized geometry",
  "magmom_total_mub_per_fu": 5.00,
  "cell": [[8.0732, 0.0000, 0.0000], [0.0000, 8.0732, 0.0000], [0.0000, 0.0000, 8.0732]],
  "species": ["Li", "Li", "Li", "Li", "Li", "Li", "Li", "Li", "Cr", "Cr", "Cr", "Cr", "Co", "Co", "Co", "Co", "Co", "Co", "Co", "Co", "Co", "Co", "Co", "Co", "O", "O", "O", "O", "O", "O", "O", "O", "O", "O", "O", "O", "O", "O", "O", "O", "O", "O", "O", "O", "O", "O", "O", "O", "O", "O", "O", "O", "O", "O", "O", "O"],
  "fractional_positions": [[0.9998, 0.9998, 0.9998], [0.0002, 0.4998, 0.5002], [0.2502, 0.2502, 0.2502], [0.2498, 0.7498, 0.7502], [0.5002, 0.0002, 0.4998], [0.4998, 0.5002, 0.0002], [0.7502, 0.2498, 0.7498], [0.7498, 0.7502, 0.2498], [0.1250, 0.8750, 0.3750], [0.3750, 0.1250, 0.8750], [0.6250, 0.6250, 0.6250], [0.8750, 0.3750, 0.1250], [0.1221, 0.1279, 0.6250], [0.1250, 0.3779, 0.8721], [0.1279, 0.6250, 0.1221], [0.3721, 0.3750, 0.6221], [0.3750, 0.6221, 0.3721], [0.3779, 0.8721, 0.1250], [0.6221, 0.3721, 0.3750], [0.6250, 0.1221, 0.1279], [0.6279, 0.8750, 0.8779], [0.8721, 0.1250, 0.3779], [0.8750, 0.8779, 0.6279], [0.8779, 0.6279, 0.8750], [0.1076, 0.1129, 0.3891], [0.1109, 0.8924, 0.6129], [0.1116, 0.6116, 0.8884], [0.1129, 0.3891, 0.1076], [0.1371, 0.1424, 0.8609], [0.1384, 0.3616, 0.6384], [0.1391, 0.6371, 0.3576], [0.1424, 0.8609, 0.1371], [0.3576, 0.1391, 0.6371], [0.3609, 0.3629, 0.8576], [0.3616, 0.6384, 0.1384], [0.3629, 0.8576, 0.3609], [0.3871, 0.6109, 0.6076], [0.3884, 0.3884, 0.3884], [0.3891, 0.1076, 0.1129], [0.3924, 0.8871, 0.8891], [0.6076, 0.3871, 0.6109], [0.6109, 0.6076, 0.3871], [0.6116, 0.8884, 0.1116], [0.6129, 0.1109, 0.8924], [0.6371, 0.3576, 0.1391], [0.6384, 0.1384, 0.3616], [0.6391, 0.8629, 0.6424], [0.6424, 0.6391, 0.8629], [0.8576, 0.3609, 0.3629], [0.8609, 0.1371, 0.1424], [0.8616, 0.8616, 0.8616], [0.8629, 0.6424, 0.6391], [0.8871, 0.8891, 0.3924], [0.8884, 0.1116, 0.6116], [0.8891, 0.3924, 0.8871], [0.8924, 0.6129, 0.1109]]
}

=====

What should be chosen as the least stable of them? Choose entry ii.

=====

Entry i
{
  "formula": "Li2CrCo3O8",
  "functional": "GGA+U",
  "state": "optimized geometry",
  "magmom_total_mub_per_fu": 5.00,
  "cell": [[2.8578, 1.6500, 4.7520], [-2.8578, 1.6500, 4.7520], [0.0000, -3.2999, 4.7520]],
  "species": ["Li", "Li", "Cr", "Co", "Co", "Co", "O", "O", "O", "O", "O", "O", "O", "O"],
  "fractional_positions": [[0.1231, 0.1231, 0.1231], [0.8769, 0.8769, 0.8769], [0.5000, 0.5000, 0.5000], [0.0000, 0.5000, 0.5000], [0.5000, 0.0000, 0.5000], [0.5000, 0.5000, 0.0000], [0.2554, 0.2554, 0.7074], [0.2554, 0.7074, 0.2554], [0.2629, 0.2629, 0.2629], [0.2926, 0.7446, 0.7446], [0.7074, 0.2554, 0.2554], [0.7371, 0.7371, 0.7371], [0.7446, 0.2926, 0.7446], [0.7446, 0.7446, 0.2926]]
}

=====

Entry ii
{
  "formula": "Li2CrCo3O8",
  "functional": "GGA+U",
  "state": "optimized geometry",
  "magmom_total_mub_per_fu": 5.00,
  "cell": [[5.7535, -5.7394, 0.0000], [5.7535, 5.7394, 0.0000], [-0.0156, 0.0000, 8.1430]],
  "species": ["Li", "Li", "Li", "Li", "Li", "Li", "Li", "Li", "Cr", "Cr", "Cr", "Cr", "Co", "Co", "Co", "Co", "Co", "Co", "Co", "Co", "Co", "Co", "Co", "Co", "O", "O", "O", "O", "O", "O", "O", "O", "O", "O", "O", "O", "O", "O", "O", "O", "O", "O", "O", "O", "O", "O", "O", "O", "O", "O", "O", "O", "O", "O", "O", "O"],
  "fractional_positions": [[0.1230, 0.1230, 0.3756], [0.1268, 0.6238, 0.8776], [0.3757, 0.3733, 0.6246], [0.3762, 0.8732, 0.1224], [0.6267, 0.6243, 0.3754], [0.6276, 0.1209, 0.8750], [0.8770, 0.8770, 0.6244], [0.8791, 0.3724, 0.1250], [0.0029, 0.9971, 0.0000], [0.2484, 0.7516, 0.5000], [0.5016, 0.2480, 0.2530], [0.7520, 0.4984, 0.7470], [0.9999, 0.7465, 0.2495], [0.0039, 0.4989, 0.4990], [0.0053, 0.2486, 0.7474], [0.2506, 0.4995, 0.2494], [0.2529, 0.2495, 0.9972], [0.2535, 0.0001, 0.7505], [0.5000, 0.5000, 0.0000], [0.5005, 0.7494, 0.7506], [0.5011, 0.9961, 0.5010], [0.7505, 0.7471, 0.0028], [0.7514, 0.9947, 0.2526], [0.7532, 0.2468, 0.5000], [0.0151, 0.0170, 0.7556], [0.0162, 0.7369, 0.4869], [0.0172, 0.5122, 0.2658], [0.0219, 0.2473, 0.9798], [0.2367, 0.7341, 0.2587], [0.2397, 0.2365, 0.7641], [0.2418, 0.5130, 0.4836], [0.2446, 0.0149, 0.9852], [0.2631, 0.9838, 0.5131], [0.2660, 0.2596, 0.2321], [0.2659, 0.7633, 0.7413], [0.2671, 0.4833, 0.0118], [0.4859, 0.2663, 0.0076], [0.4870, 0.7582, 0.5164], [0.4878, 0.9828, 0.7342], [0.4928, 0.4869, 0.2311], [0.5131, 0.5072, 0.7689], [0.5168, 0.2350, 0.4911], [0.5167, 0.7329, 0.9882], [0.5180, 0.0087, 0.2609], [0.7337, 0.5141, 0.9924], [0.7376, 0.0114, 0.4831], [0.7393, 0.2331, 0.2656], [0.7404, 0.7340, 0.7679], [0.7527, 0.9781, 0.0202], [0.7635, 0.7603, 0.2359], [0.7650, 0.4832, 0.5089], [0.7669, 0.2607, 0.7344], [0.9830, 0.9849, 0.2444], [0.9851, 0.7554, 0.0148], [0.9886, 0.2624, 0.5169], [0.9913, 0.4820, 0.7391]]
}

=====

What should be chosen as the least stable of them? Choose entry ii.

=====

Entry i
{
  "formula": "Li4Cr3CoO8",
  "functional": "GGA+U",
  "state": "optimized geometry",
  "magmom_total_mub_per_fu": 9.00,
  "cell": [[5.1107, 0.0000, 0.0000], [0.0000, 5.9143, 0.0000], [-1.6847, 0.0000, 4.8300]],
  "species": ["Li", "Li", "Li", "Li", "Cr", "Cr", "Cr", "Co", "O", "O", "O", "O", "O", "O", "O", "O"],
  "fractional_positions": [[0.0000, 0.0000, 0.0000], [0.0000, 0.5000, 0.0000], [0.5000, 0.2464, 0.0000], [0.5000, 0.7536, 0.0000], [0.0000, 0.2502, 0.5000], [0.0000, 0.7498, 0.5000], [0.5000, 0.5000, 0.5000], [0.5000, 0.0000, 0.5000], [0.2409, 0.5000, 0.7259], [0.2441, 0.0000, 0.7253], [0.2573, 0.2501, 0.2731], [0.2573, 0.7499, 0.2731], [0.7427, 0.2501, 0.7269], [0.7427, 0.7499, 0.7269], [0.7559, 0.0000, 0.2747], [0.7591, 0.5000, 0.2741]]
}

=====

Entry ii
{
  "formula": "Li4Cr3CoO8",
  "functional": "GGA+U",
  "state": "optimized geometry",
  "magmom_total_mub_per_fu": 9.00,
  "cell": [[5.1033, 0.0000, 0.0000], [-1.6814, 5.6107, 0.0000], [-1.6754, -0.5271, 9.9970]],
  "species": ["Li", "Li", "Li", "Li", "Li", "Li", "Li", "Li", "Cr", "Cr", "Cr", "Cr", "Cr", "Cr", "Co", "Co", "O", "O", "O", "O", "O", "O", "O", "O", "O", "O", "O", "O", "O", "O", "O", "O"],
  "fractional_positions": [[0.0000, 0.0000, 0.0000], [0.0000, 0.0000, 0.5000], [0.0000, 0.5000, 0.0000], [0.0000, 0.5000, 0.5000], [0.0005, 0.2482, 0.2527], [0.0042, 0.7533, 0.2496], [0.9958, 0.2467, 0.7504], [0.9995, 0.7518, 0.7473], [0.5001, 0.1237, 0.8730], [0.4998, 0.3727, 0.6227], [0.5004, 0.3742, 0.1272], [0.4996, 0.6258, 0.8728], [0.5002, 0.6273, 0.3773], [0.4999, 0.8763, 0.1270], [0.5003, 0.1245, 0.3767], [0.4997, 0.8755, 0.6233], [0.2733, 0.3178, 0.9391], [0.2726, 0.5688, 0.1911], [0.2727, 0.8186, 0.9396], [0.2762, 0.0691, 0.1949], [0.2755, 0.5730, 0.6858], [0.2767, 0.0640, 0.6867], [0.2767, 0.3144, 0.4379], [0.2813, 0.8272, 0.4426], [0.7187, 0.1728, 0.5574], [0.7233, 0.6856, 0.5621], [0.7233, 0.9360, 0.3133], [0.7245, 0.4270, 0.3142], [0.7238, 0.9309, 0.8051], [0.7273, 0.1814, 0.0604], [0.7274, 0.4312, 0.8089], [0.7267, 0.6822, 0.0609]]
}

=====

What should be chosen as the least stable of them? Choose entry i.